(1)
! YbGa6 (meta-GGA r2SCAN, optimized geometry); values from VASP
&SYSTEM
  ibrav = 0, nat = 14, ntyp = 2
/
ATOMIC_SPECIES
Ga 69.72 Ga.upf
Yb 173.04 Yb.upf
CELL_PARAMETERS angstrom
5.879 0.000 0.000
0.000 5.879 0.000
0.000 0.000 7.443
ATOMIC_POSITIONS crystal
Ga 0.324 0.176 0.648
Ga 0.176 0.324 0.352
Ga 0.176 0.676 0.648
Yb 0.000 0.500 0.000
Ga 0.500 0.500 0.839
Ga 0.824 0.324 0.648
Ga 0.000 0.000 0.161
Ga 0.500 0.500 0.161
Ga 0.824 0.676 0.352
Ga 0.676 0.824 0.648
Ga 0.324 0.824 0.352
Yb 0.500 0.000 0.000
Ga 0.676 0.176 0.352
Ga 0.000 0.000 0.839
! Formation energy from the elements, eV per atom: -0.306
! Calculated total energy, eV/atom: -15.3330

=====

(2)
! Ba4Bi3 (meta-GGA r2SCAN, optimized geometry); values from VASP
&SYSTEM
  ibrav = 0, nat = 14, ntyp = 2
/
ATOMIC_SPECIES
Bi 208.98 Bi.upf
Ba 137.33 Ba.upf
CELL_PARAMETERS angstrom
8.758 0.000 -3.096
-4.379 7.584 -3.096
0.000 0.000 9.289
ATOMIC_POSITIONS crystal
Bi 0.125 0.750 0.875
Bi 0.250 0.625 0.375
Ba 0.356 0.500 0.000
Ba 0.000 0.856 0.500
Bi 0.875 0.125 0.750
Ba 0.500 0.000 0.356
Bi 0.375 0.250 0.625
Ba 0.144 0.144 0.144
Bi 0.750 0.875 0.125
Ba 0.644 0.644 0.644
Ba 0.856 0.500 0.000
Ba 0.500 0.000 0.856
Bi 0.625 0.375 0.250
Ba 0.000 0.356 0.500
! Formation energy from the elements, eV per atom: -1.080
! Calculated total energy, eV/atom: -41.2948

=====

(3)
! TbSe (meta-GGA r2SCAN, optimized geometry); values from VASP
&SYSTEM
  ibrav = 0, nat = 2, ntyp = 2
/
ATOMIC_SPECIES
Tb 158.93 Tb.upf
Se 78.96 Se.upf
CELL_PARAMETERS angstrom
3.532 0.000 2.039
1.177 3.330 2.039
0.000 0.000 4.078
ATOMIC_POSITIONS crystal
Tb 0.500 0.500 0.500
Se 0.000 0.000 0.000
! Formation energy from the elements, eV per atom: -2.030
! Calculated total energy, eV/atom: -24.7989

=====

(4)
! Ta3N5 (meta-GGA r2SCAN, optimized geometry); values from VASP
&SYSTEM
  ibrav = 0, nat = 16, ntyp = 2
/
ATOMIC_SPECIES
Ta 180.95 Ta.upf
N 14.01 N.upf
CELL_PARAMETERS angstrom
3.881 0.000 0.000
-1.941 5.139 0.000
0.000 0.000 10.309
ATOMIC_POSITIONS crystal
Ta 0.197 0.394 0.250
Ta 0.133 0.267 0.560
N 0.047 0.094 0.119
Ta 0.867 0.733 0.440
N 0.047 0.094 0.381
N 0.308 0.616 0.074
N 0.953 0.906 0.881
Ta 0.803 0.606 0.750
N 0.692 0.384 0.926
N 0.953 0.906 0.619
N 0.237 0.474 0.750
N 0.692 0.384 0.574
Ta 0.133 0.267 0.940
N 0.308 0.616 0.426
Ta 0.867 0.733 0.060
N 0.763 0.526 0.250
! Formation energy from the elements, eV per atom: -1.287
! Calculated total energy, eV/atom: -25.2141

=====

(5)
! PrPd2O4 (meta-GGA r2SCAN, optimized geometry); values from VASP
&SYSTEM
  ibrav = 0, nat = 14, ntyp = 3
/
ATOMIC_SPECIES
Pr 140.91 Pr.upf
Pd 106.42 Pd.upf
O 16.00 O.upf
CELL_PARAMETERS angstrom
-2.926 -4.078 3.107
-1.698 -2.604 -5.019
6.503 0.412 1.058
ATOMIC_POSITIONS crystal
Pr 0.125 0.375 0.250
Pd 0.000 0.000 0.500
O 0.128 0.026 0.850
O 0.824 0.628 0.350
O 0.526 0.222 0.350
O 0.872 0.974 0.150
Pd 0.500 0.500 0.000
Pd 0.500 0.000 0.500
O 0.722 0.324 0.850
O 0.474 0.778 0.650
O 0.176 0.372 0.650
Pr 0.875 0.625 0.750
Pd 0.500 0.000 0.000
O 0.278 0.676 0.150
! Formation energy from the elements, eV per atom: -1.761
! Calculated total energy, eV/atom: -15.9342

=====

(6)
! Tb2RuRh (meta-GGA r2SCAN, optimized geometry); values from VASP
&SYSTEM
  ibrav = 0, nat = 4, ntyp = 3
/
ATOMIC_SPECIES
Tb 158.93 Tb.upf
Ru 101.07 Ru.upf
Rh 102.91 Rh.upf
CELL_PARAMETERS angstrom
-4.105 -1.109 2.257
-3.615 3.176 0.120
-4.003 -0.813 -2.547
ATOMIC_POSITIONS crystal
Tb 0.750 0.750 0.750
Ru 0.000 0.000 0.000
Tb 0.250 0.250 0.250
Rh 0.500 0.500 0.500
! Formation energy from the elements, eV per atom: -0.645
! Calculated total energy, eV/atom: -28.6483

=====

(7)
! Sr2SiO4 (meta-GGA r2SCAN, optimized geometry); values from VASP
&SYSTEM
  ibrav = 0, nat = 28, ntyp = 3
/
ATOMIC_SPECIES
Si 28.09 Si.upf
O 16.00 O.upf
Sr 87.62 Sr.upf
CELL_PARAMETERS angstrom
-3.481 -3.228 -2.994
5.525 -2.692 -3.521
0.816 -7.110 6.716
ATOMIC_POSITIONS crystal
Si 0.750 0.779 0.581
O 0.988 0.200 0.843
Sr 0.250 0.498 0.803
O 0.988 0.700 0.657
Sr 0.250 0.155 0.075
O 0.512 0.200 0.843
O 0.750 0.682 0.428
O 0.750 0.507 0.927
O 0.250 0.818 0.928
Sr 0.750 0.845 0.925
Sr 0.250 0.655 0.425
O 0.512 0.700 0.657
O 0.250 0.993 0.427
O 0.012 0.800 0.157
O 0.012 0.300 0.343
Sr 0.750 0.002 0.303
O 0.488 0.800 0.157
O 0.750 0.007 0.573
Sr 0.750 0.502 0.197
Sr 0.750 0.345 0.575
Sr 0.250 0.998 0.697
Si 0.750 0.279 0.919
Si 0.250 0.721 0.081
O 0.250 0.318 0.572
O 0.488 0.300 0.343
O 0.750 0.182 0.072
Si 0.250 0.221 0.419
O 0.250 0.493 0.073
! Formation energy from the elements, eV per atom: -3.291
! Calculated total energy, eV/atom: -12.2848

=====

(8)
! Na2HgS2 (meta-GGA r2SCAN, optimized geometry); values from VASP
&SYSTEM
  ibrav = 0, nat = 40, ntyp = 3
/
ATOMIC_SPECIES
Na 22.99 Na.upf
Hg 200.59 Hg.upf
S 32.06 S.upf
CELL_PARAMETERS angstrom
7.302 0.000 0.000
0.000 7.466 0.000
0.000 0.000 18.115
ATOMIC_POSITIONS crystal
Na 0.000 0.728 0.055
Na 0.329 0.956 0.696
Hg 0.774 0.151 0.111
Hg 0.726 0.651 0.889
Na 0.671 0.044 0.304
Na 0.829 0.044 0.804
Na 0.171 0.456 0.304
Na 0.000 0.772 0.555
Na 0.671 0.544 0.196
S 0.756 0.924 0.951
S 0.698 0.386 0.821
S 0.198 0.114 0.821
S 0.256 0.576 0.951
Na 0.500 0.228 0.945
S 0.302 0.614 0.179
Na 0.000 0.228 0.445
S 0.744 0.424 0.049
Hg 0.774 0.651 0.389
S 0.198 0.614 0.679
S 0.744 0.924 0.451
Hg 0.226 0.349 0.611
S 0.244 0.076 0.049
S 0.802 0.386 0.321
S 0.756 0.424 0.549
Na 0.329 0.456 0.804
Na 0.500 0.772 0.055
Hg 0.226 0.849 0.889
Na 0.829 0.544 0.696
Hg 0.274 0.349 0.111
Na 0.171 0.956 0.196
Na 0.500 0.272 0.445
Hg 0.726 0.151 0.611
S 0.256 0.076 0.549
Na 0.000 0.272 0.945
Na 0.500 0.728 0.555
S 0.698 0.886 0.679
S 0.244 0.576 0.451
Hg 0.274 0.849 0.389
S 0.302 0.114 0.321
S 0.802 0.886 0.179
! Formation energy from the elements, eV per atom: -0.910
! Calculated total energy, eV/atom: -15.4227

=====

The lowest calculated total energy belongs to which entry?
Ba4Bi3

=====

The lowest formation energy from the elements belongs to which entry?
Sr2SiO4

=====

What is the formation energy from the elements in the seventh record?
-3.291 eV per atom

=====

Which value of formation energy from the elements does entry 5 give?
-1.761 eV per atom